# 1
A geometry-optimized CaP3H16N3O12 structure, computed with GGA-PBE.

Summary:
- size of the total moment (μB per cell) = 2.73
- energy of formation from the pure elements (eV/atom) = -1.44
- space-group type = P2_1/c (14)
- energy above the most stable polymorph in this dataset (eV per atom) = 0.151

Unit cell a=7.036 b=20.708 c=11.745 alpha=90.00 beta=117.90 gamma=90.00
Positions (direct):
Ca 0.108 0.166 0.468
Ca 0.108 0.334 0.968
Ca 0.892 0.666 0.032
Ca 0.892 0.834 0.532
P 0.016 0.019 0.293
P 0.016 0.481 0.793
P 0.125 0.190 0.170
P 0.125 0.310 0.670
P 0.454 0.706 0.095
P 0.454 0.794 0.595
P 0.546 0.206 0.405
P 0.546 0.294 0.905
P 0.875 0.690 0.330
P 0.875 0.810 0.830
P 0.984 0.519 0.207
P 0.984 0.981 0.707
H 0.094 0.074 0.151
H 0.094 0.426 0.651
H 0.120 0.705 0.742
H 0.120 0.795 0.242
H 0.175 0.626 0.733
H 0.175 0.874 0.233
H 0.195 0.101 0.701
H 0.195 0.399 0.201
H 0.299 0.686 0.689
H 0.299 0.814 0.189
H 0.307 0.540 0.577
H 0.307 0.960 0.077
H 0.308 0.501 0.050
H 0.308 0.999 0.550
H 0.331 0.538 0.185
H 0.331 0.962 0.685
H 0.342 0.582 0.070
H 0.342 0.918 0.570
H 0.350 0.163 0.751
H 0.350 0.337 0.251
H 0.357 0.616 0.384
H 0.357 0.884 0.884
H 0.361 0.675 0.848
H 0.361 0.825 0.348
H 0.387 0.111 0.003
H 0.387 0.389 0.503
H 0.448 0.033 0.337
H 0.448 0.467 0.837
H 0.459 0.170 0.111
H 0.459 0.330 0.611
H 0.464 0.674 0.508
H 0.464 0.826 0.008
H 0.536 0.174 0.992
H 0.536 0.326 0.492
H 0.541 0.670 0.389
H 0.541 0.830 0.889
H 0.552 0.533 0.163
H 0.552 0.967 0.663
H 0.613 0.611 0.497
H 0.613 0.889 0.997
H 0.639 0.175 0.652
H 0.639 0.325 0.152
H 0.643 0.116 0.116
H 0.643 0.384 0.616
H 0.650 0.663 0.749
H 0.650 0.837 0.249
H 0.658 0.082 0.430
H 0.658 0.418 0.930
H 0.669 0.038 0.315
H 0.669 0.462 0.815
H 0.692 0.001 0.450
H 0.692 0.499 0.950
H 0.693 0.040 0.923
H 0.693 0.460 0.423
H 0.701 0.186 0.811
H 0.701 0.314 0.311
H 0.805 0.601 0.799
H 0.805 0.899 0.299
H 0.825 0.126 0.767
H 0.825 0.374 0.267
H 0.880 0.205 0.758
H 0.880 0.295 0.258
H 0.906 0.574 0.349
H 0.906 0.926 0.849
N 0.237 0.672 0.751
N 0.237 0.828 0.251
N 0.386 0.538 0.116
N 0.386 0.962 0.616
N 0.492 0.643 0.444
N 0.492 0.857 0.944
N 0.508 0.143 0.056
N 0.508 0.357 0.556
N 0.614 0.038 0.384
N 0.614 0.462 0.884
N 0.763 0.172 0.749
N 0.763 0.328 0.249
O 0.013 0.555 0.809
O 0.013 0.945 0.309
O 0.016 0.205 0.253
O 0.016 0.295 0.753
O 0.044 0.127 0.089
O 0.044 0.373 0.589
O 0.123 0.243 0.082
O 0.123 0.257 0.582
O 0.137 0.055 0.424
O 0.137 0.445 0.924
O 0.145 0.030 0.215
O 0.145 0.470 0.715
O 0.214 0.547 0.281
O 0.214 0.953 0.781
O 0.247 0.671 0.064
O 0.247 0.829 0.564
O 0.301 0.127 0.688
O 0.301 0.373 0.188
O 0.378 0.173 0.266
O 0.378 0.327 0.766
O 0.452 0.721 0.619
O 0.452 0.779 0.119
O 0.458 0.191 0.499
O 0.458 0.309 0.999
O 0.542 0.691 0.001
O 0.542 0.809 0.501
O 0.548 0.221 0.881
O 0.548 0.279 0.381
O 0.622 0.673 0.234
O 0.622 0.827 0.734
O 0.699 0.627 0.812
O 0.699 0.873 0.312
O 0.753 0.171 0.436
O 0.753 0.329 0.936
O 0.786 0.047 0.219
O 0.786 0.453 0.719
O 0.855 0.530 0.285
O 0.855 0.970 0.785
O 0.863 0.555 0.076
O 0.863 0.945 0.576
O 0.877 0.743 0.418
O 0.877 0.757 0.918
O 0.956 0.627 0.411
O 0.956 0.873 0.911
O 0.984 0.705 0.247
O 0.984 0.795 0.747
O 0.987 0.055 0.691
O 0.987 0.445 0.191



# 2
A geometry-optimized CaP3H16N3O12 structure, computed with GGA-PBE.

Summary:
- size of the total moment (μB per cell) = 0.00
- energy of formation from the pure elements (eV/atom) = -1.59
- space-group type = P2_1/c (14)
- energy above the most stable polymorph in this dataset (eV per atom) = 0.000

Unit cell a=7.004 b=18.871 c=11.703 alpha=90.00 beta=114.13 gamma=90.00
Positions (direct):
Ca 0.091 0.182 0.491
Ca 0.091 0.318 0.991
Ca 0.909 0.682 0.009
Ca 0.909 0.818 0.509
P 0.056 0.034 0.284
P 0.056 0.466 0.784
P 0.120 0.177 0.203
P 0.120 0.323 0.703
P 0.471 0.709 0.084
P 0.471 0.791 0.584
P 0.529 0.209 0.416
P 0.529 0.291 0.916
P 0.880 0.677 0.297
P 0.880 0.823 0.797
P 0.944 0.534 0.216
P 0.944 0.966 0.716
H 0.099 0.687 0.736
H 0.099 0.813 0.236
H 0.197 0.089 0.735
H 0.197 0.411 0.235
H 0.207 0.603 0.747
H 0.207 0.897 0.247
H 0.244 0.004 0.935
H 0.244 0.496 0.435
H 0.266 0.524 0.568
H 0.266 0.976 0.068
H 0.268 0.012 0.533
H 0.268 0.488 0.033
H 0.289 0.675 0.684
H 0.289 0.825 0.184
H 0.294 0.514 0.176
H 0.294 0.986 0.676
H 0.321 0.163 0.770
H 0.321 0.337 0.270
H 0.325 0.574 0.079
H 0.325 0.926 0.579
H 0.346 0.671 0.837
H 0.346 0.829 0.337
H 0.348 0.633 0.350
H 0.348 0.867 0.850
H 0.414 0.170 0.094
H 0.414 0.330 0.594
H 0.441 0.086 0.055
H 0.441 0.414 0.555
H 0.466 0.660 0.503
H 0.466 0.840 0.003
H 0.487 0.010 0.356
H 0.487 0.490 0.856
H 0.513 0.510 0.144
H 0.513 0.990 0.644
H 0.534 0.160 0.997
H 0.534 0.340 0.497
H 0.559 0.586 0.445
H 0.559 0.914 0.945
H 0.586 0.670 0.406
H 0.586 0.830 0.906
H 0.652 0.133 0.150
H 0.652 0.367 0.650
H 0.654 0.171 0.663
H 0.654 0.329 0.163
H 0.675 0.074 0.421
H 0.675 0.426 0.921
H 0.679 0.663 0.730
H 0.679 0.837 0.230
H 0.706 0.014 0.324
H 0.706 0.486 0.824
H 0.711 0.175 0.816
H 0.711 0.325 0.316
H 0.732 0.512 0.967
H 0.732 0.988 0.467
H 0.734 0.024 0.932
H 0.734 0.476 0.432
H 0.756 0.504 0.565
H 0.756 0.996 0.065
H 0.793 0.103 0.753
H 0.793 0.397 0.253
H 0.803 0.589 0.765
H 0.803 0.911 0.265
H 0.901 0.187 0.764
H 0.901 0.313 0.264
N 0.231 0.658 0.749
N 0.231 0.842 0.249
N 0.352 0.522 0.107
N 0.352 0.978 0.607
N 0.488 0.637 0.426
N 0.488 0.863 0.926
N 0.512 0.137 0.074
N 0.512 0.363 0.574
N 0.648 0.022 0.393
N 0.648 0.478 0.893
N 0.769 0.158 0.751
N 0.769 0.342 0.251
O 0.021 0.217 0.277
O 0.021 0.283 0.777
O 0.033 0.097 0.180
O 0.033 0.403 0.680
O 0.098 0.205 0.078
O 0.098 0.295 0.578
O 0.107 0.071 0.409
O 0.107 0.429 0.909
O 0.163 0.000 0.772
O 0.163 0.500 0.272
O 0.212 0.136 0.702
O 0.212 0.364 0.202
O 0.228 0.515 0.784
O 0.228 0.985 0.284
O 0.266 0.670 0.056
O 0.266 0.830 0.556
O 0.299 0.015 0.025
O 0.299 0.485 0.525
O 0.368 0.167 0.287
O 0.368 0.333 0.787
O 0.444 0.200 0.515
O 0.444 0.300 0.015
O 0.467 0.712 0.621
O 0.467 0.788 0.121
O 0.533 0.212 0.879
O 0.533 0.288 0.379
O 0.556 0.700 0.985
O 0.556 0.800 0.485
O 0.632 0.667 0.213
O 0.632 0.833 0.713
O 0.701 0.515 0.475
O 0.701 0.985 0.975
O 0.734 0.170 0.444
O 0.734 0.330 0.944
O 0.772 0.015 0.716
O 0.772 0.485 0.216
O 0.788 0.636 0.798
O 0.788 0.864 0.298
O 0.837 0.000 0.228
O 0.837 0.500 0.728
O 0.893 0.571 0.091
O 0.893 0.929 0.591
O 0.902 0.705 0.422
O 0.902 0.795 0.922
O 0.967 0.597 0.320
O 0.967 0.903 0.820
O 0.979 0.717 0.223
O 0.979 0.783 0.723



# 3
A geometry-optimized CaP3H10NO12 structure, computed with GGA-PBE.

Summary:
- size of the total moment (μB per cell) = 0.00
- energy of formation from the pure elements (eV/atom) = -1.88
- space-group type = P2_12_12 (18)

Unit cell a=12.766 b=13.129 c=7.097 alpha=90.00 beta=90.00 gamma=90.00
Positions (direct):
Ca 0.245 0.182 0.346
Ca 0.255 0.682 0.654
Ca 0.745 0.318 0.654
Ca 0.755 0.818 0.346
P 0.016 0.828 0.562
P 0.160 0.152 0.828
P 0.206 0.955 0.631
P 0.294 0.455 0.369
P 0.340 0.652 0.172
P 0.484 0.328 0.438
P 0.516 0.672 0.438
P 0.660 0.348 0.172
P 0.706 0.545 0.369
P 0.794 0.045 0.631
P 0.840 0.848 0.828
P 0.984 0.172 0.562
H 0.007 0.438 0.415
H 0.030 0.058 0.236
H 0.053 0.693 0.294
H 0.060 0.970 0.073
H 0.066 0.509 0.587
H 0.070 0.656 0.088
H 0.095 0.536 0.943
H 0.196 0.491 0.854
H 0.231 0.838 0.194
H 0.233 0.874 0.984
H 0.267 0.374 0.016
H 0.269 0.338 0.806
H 0.304 0.991 0.146
H 0.405 0.036 0.057
H 0.430 0.156 0.912
H 0.434 0.009 0.413
H 0.440 0.470 0.927
H 0.447 0.193 0.706
H 0.470 0.558 0.764
H 0.493 0.938 0.585
H 0.507 0.062 0.585
H 0.530 0.442 0.764
H 0.553 0.807 0.706
H 0.560 0.530 0.927
H 0.566 0.991 0.413
H 0.570 0.844 0.912
H 0.595 0.964 0.057
H 0.696 0.009 0.146
H 0.731 0.662 0.806
H 0.733 0.626 0.016
H 0.767 0.126 0.984
H 0.769 0.162 0.194
H 0.804 0.509 0.854
H 0.905 0.464 0.943
H 0.930 0.344 0.088
H 0.934 0.491 0.587
H 0.940 0.030 0.073
H 0.947 0.307 0.294
H 0.970 0.942 0.236
H 0.993 0.562 0.415
N 0.000 0.000 0.151
N 0.000 0.500 0.504
N 0.500 0.000 0.496
N 0.500 0.500 0.849
O 0.026 0.644 0.199
O 0.036 0.164 0.771
O 0.065 0.155 0.412
O 0.080 0.732 0.557
O 0.091 0.926 0.548
O 0.143 0.548 0.840
O 0.169 0.172 0.034
O 0.175 0.030 0.802
O 0.216 0.897 0.113
O 0.226 0.212 0.691
O 0.237 0.513 0.518
O 0.246 0.361 0.280
O 0.254 0.861 0.720
O 0.263 0.013 0.482
O 0.274 0.712 0.309
O 0.284 0.397 0.887
O 0.325 0.530 0.198
O 0.331 0.672 0.966
O 0.357 0.048 0.160
O 0.409 0.426 0.452
O 0.420 0.232 0.443
O 0.435 0.655 0.588
O 0.464 0.664 0.229
O 0.474 0.144 0.801
O 0.526 0.856 0.801
O 0.536 0.336 0.229
O 0.565 0.345 0.588
O 0.580 0.768 0.443
O 0.591 0.574 0.452
O 0.643 0.952 0.160
O 0.669 0.328 0.966
O 0.675 0.470 0.198
O 0.716 0.603 0.887
O 0.726 0.288 0.309
O 0.737 0.987 0.482
O 0.746 0.139 0.720
O 0.754 0.639 0.280
O 0.763 0.487 0.518
O 0.774 0.788 0.691
O 0.784 0.103 0.113
O 0.825 0.970 0.802
O 0.831 0.828 0.034
O 0.857 0.452 0.840
O 0.909 0.074 0.548
O 0.920 0.268 0.557
O 0.935 0.845 0.412
O 0.964 0.836 0.771
O 0.974 0.356 0.199